(1)
A relaxed structure of GaP, computed with PBE.

Lattice parameters (Å, degrees): 3.880 3.880 6.395 90.00 90.00 120.00
Atoms (fractional coordinates):
Ga: 0.333 0.667 0.000
Ga: 0.667 0.333 0.500
P: 0.333 0.667 0.626
P: 0.667 0.333 0.126

Summary:
Its energy above the most stable polymorph in this dataset is 11 meV per atom. For the largest piezoelectric modulus, the calculation gives 0.29 C/m². As for the space-group type: No. 186. The value obtained for the formation energy is -0.399 eV/atom.

***

(2)
A relaxed structure of CeMnIn, computed with PBE.

Lattice parameters (Å, degrees): 3.335 4.921 4.921 59.99 90.00 90.00
Atoms (fractional coordinates):
Ce: 0.000 0.000 0.000
Mn: 0.500 0.666 0.666
In: 0.500 0.333 0.333

Summary:
As for the space-group type: No. 38. The value obtained for the formation energy is -0.031 eV/atom.

***

(3)
A relaxed structure of Pr3Nb, computed with PBE.

Lattice parameters (Å, degrees): 5.976 5.976 5.976 130.76 130.76 72.20
Atoms (fractional coordinates):
Pr: 0.000 0.000 0.000
Pr: 0.250 0.750 0.500
Pr: 0.750 0.250 0.500
Nb: 0.500 0.500 0.000

Summary:
As for the space-group type: No. 139. The value obtained for the formation energy is 0.398 eV/atom.

***

(4)
A relaxed structure of ZrN2, computed with PBE.

Lattice parameters (Å, degrees): 3.399 3.399 4.371 90.00 90.00 120.00
Atoms (fractional coordinates):
Zr: 0.000 0.000 0.000
N: 0.333 0.667 0.223
N: 0.667 0.333 0.777

Summary:
As for the space-group type: No. 164. The value obtained for the formation energy is -0.116 eV/atom.

***

(5)
A relaxed structure of CeSi3Ir, computed with PBE.

Lattice parameters (Å, degrees): 5.749 5.749 5.749 136.78 136.78 62.77
Atoms (fractional coordinates):
Ce: 0.000 0.000 0.000
Si: 0.269 0.769 0.500
Si: 0.417 0.417 0.000
Si: 0.769 0.269 0.500
Ir: 0.659 0.659 0.000

Summary:
As for the space-group type: No. 107. The value obtained for the formation energy is -0.841 eV/atom.

***

(6)
A relaxed structure of BaTb2ZnO5, computed with PBE.

Lattice parameters (Å, degrees): 12.494 5.781 7.179 90.00 90.00 90.00
Atoms (fractional coordinates):
Ba: 0.101 0.250 0.077
Ba: 0.399 0.750 0.577
Ba: 0.601 0.250 0.423
Ba: 0.899 0.750 0.923
Tb: 0.074 0.750 0.400
Tb: 0.208 0.250 0.618
Tb: 0.292 0.750 0.118
Tb: 0.426 0.250 0.900
Tb: 0.574 0.750 0.100
Tb: 0.708 0.250 0.882
Tb: 0.792 0.750 0.382
Tb: 0.926 0.250 0.600
Zn: 0.150 0.750 0.809
Zn: 0.350 0.250 0.309
Zn: 0.650 0.750 0.691
Zn: 0.850 0.250 0.191
O: 0.066 0.502 0.664
O: 0.066 0.998 0.664
O: 0.100 0.750 0.074
O: 0.225 0.001 0.357
O: 0.225 0.499 0.357
O: 0.275 0.501 0.857
O: 0.275 0.999 0.857
O: 0.400 0.250 0.574
O: 0.434 0.002 0.164
O: 0.434 0.498 0.164
O: 0.566 0.502 0.836
O: 0.566 0.998 0.836
O: 0.600 0.750 0.426
O: 0.725 0.001 0.143
O: 0.725 0.499 0.143
O: 0.775 0.501 0.643
O: 0.775 0.999 0.643
O: 0.900 0.250 0.926
O: 0.934 0.002 0.336
O: 0.934 0.498 0.336

Summary:
As for the space-group type: No. 62. The value obtained for the formation energy is -3.252 eV/atom.

***

(7)
A relaxed structure of Al6B5O18, computed with PBE.

Lattice parameters (Å, degrees): 8.655 8.655 8.310 90.00 90.00 120.00
Atoms (fractional coordinates):
Al: 0.014 0.661 0.076
Al: 0.014 0.661 0.424
Al: 0.339 0.352 0.076
Al: 0.339 0.352 0.424
Al: 0.352 0.014 0.576
Al: 0.352 0.014 0.924
Al: 0.648 0.986 0.076
Al: 0.648 0.986 0.424
Al: 0.661 0.648 0.576
Al: 0.661 0.648 0.924
Al: 0.986 0.339 0.576
Al: 0.986 0.339 0.924
B: 0.001 0.767 0.750
B: 0.233 0.001 0.250
B: 0.233 0.233 0.750
B: 0.333 0.667 0.558
B: 0.333 0.667 0.942
B: 0.667 0.333 0.058
B: 0.667 0.333 0.442
B: 0.767 0.767 0.250
B: 0.767 0.999 0.750
B: 0.999 0.233 0.250
O: 0.090 0.286 0.102
O: 0.090 0.286 0.398
O: 0.119 0.617 0.250
O: 0.120 0.301 0.750
O: 0.150 0.588 0.558
O: 0.150 0.588 0.942
O: 0.181 0.880 0.750
O: 0.197 0.910 0.102
O: 0.197 0.910 0.398
O: 0.286 0.197 0.602
O: 0.286 0.197 0.898
O: 0.301 0.181 0.250
O: 0.383 0.502 0.250
O: 0.412 0.562 0.558
O: 0.412 0.562 0.942
O: 0.438 0.850 0.558
O: 0.438 0.850 0.942
O: 0.498 0.881 0.250
O: 0.502 0.119 0.750
O: 0.562 0.150 0.058
O: 0.562 0.150 0.442
O: 0.588 0.438 0.058
O: 0.588 0.438 0.442
O: 0.617 0.498 0.750
O: 0.699 0.819 0.750
O: 0.714 0.803 0.102
O: 0.714 0.803 0.398
O: 0.803 0.090 0.602
O: 0.803 0.090 0.898
O: 0.819 0.120 0.250
O: 0.850 0.412 0.058
O: 0.850 0.412 0.442
O: 0.880 0.699 0.250
O: 0.881 0.383 0.750
O: 0.910 0.714 0.602
O: 0.910 0.714 0.898

Summary:
Its energy above the most stable polymorph in this dataset is 0 meV per atom. As for the space-group type: No. 176. The value obtained for the formation energy is -2.919 eV/atom.

***

(8)
A relaxed structure of Sr2Mg, computed with PBE.

Lattice parameters (Å, degrees): 7.976 7.976 7.976 150.73 148.98 43.17
Atoms (fractional coordinates):
Sr: 0.143 0.143 0.000
Sr: 0.857 0.857 0.000
Mg: 0.500 0.500 0.000

Summary:
As for the space-group type: No. 71. The value obtained for the formation energy is -0.032 eV/atom.

***

(9)
A relaxed structure of CeCoCuSi2, computed with PBE.

Lattice parameters (Å, degrees): 5.651 5.651 5.651 138.05 138.05 60.83
Atoms (fractional coordinates):
Ce: 0.000 0.000 0.000
Co: 0.250 0.750 0.500
Cu: 0.750 0.250 0.500
Si: 0.375 0.375 0.000
Si: 0.625 0.625 0.000

Summary:
As for the space-group type: No. 119. The value obtained for the formation energy is -0.590 eV/atom.

***

(10)
A relaxed structure of MgB6H12O16, computed with PBE.

Lattice parameters (Å, degrees): 10.906 10.542 11.426 90.00 94.89 90.00
Atoms (fractional coordinates):
Mg: 0.000 0.000 0.000
Mg: 0.000 0.500 0.500
Mg: 0.500 0.000 0.500
Mg: 0.500 0.500 0.000
B: 0.091 0.102 0.255
B: 0.091 0.398 0.755
B: 0.098 0.590 0.882
B: 0.098 0.910 0.382
B: 0.193 0.611 0.693
B: 0.193 0.889 0.193
B: 0.206 0.203 0.710
B: 0.206 0.297 0.210
B: 0.254 0.105 0.100
B: 0.254 0.395 0.600
B: 0.396 0.584 0.615
B: 0.396 0.916 0.115
B: 0.604 0.084 0.885
B: 0.604 0.416 0.385
B: 0.746 0.605 0.400
B: 0.746 0.895 0.900
B: 0.794 0.703 0.790
B: 0.794 0.797 0.290
B: 0.807 0.111 0.807
B: 0.807 0.389 0.307
B: 0.902 0.090 0.618
B: 0.902 0.410 0.118
B: 0.909 0.602 0.245
B: 0.909 0.898 0.745
H: 0.008 0.602 0.033
H: 0.008 0.898 0.533
H: 0.070 0.667 0.328
H: 0.070 0.833 0.828
H: 0.102 0.721 0.557
H: 0.102 0.779 0.057
H: 0.158 0.180 0.950
H: 0.158 0.320 0.450
H: 0.160 0.031 0.767
H: 0.160 0.469 0.267
H: 0.298 0.520 0.127
H: 0.298 0.980 0.627
H: 0.316 0.105 0.346
H: 0.316 0.395 0.846
H: 0.340 0.660 0.099
H: 0.340 0.840 0.599
H: 0.421 0.209 0.383
H: 0.421 0.291 0.883
H: 0.426 0.668 0.819
H: 0.426 0.832 0.319
H: 0.437 0.201 0.628
H: 0.437 0.299 0.128
H: 0.444 0.092 0.960
H: 0.444 0.408 0.460
H: 0.556 0.592 0.540
H: 0.556 0.908 0.040
H: 0.563 0.701 0.872
H: 0.563 0.799 0.372
H: 0.574 0.168 0.681
H: 0.574 0.332 0.181
H: 0.579 0.709 0.117
H: 0.579 0.791 0.617
H: 0.660 0.160 0.401
H: 0.660 0.340 0.901
H: 0.684 0.605 0.154
H: 0.684 0.895 0.654
H: 0.702 0.020 0.373
H: 0.702 0.480 0.873
H: 0.840 0.531 0.733
H: 0.840 0.969 0.233
H: 0.842 0.680 0.550
H: 0.842 0.820 0.050
H: 0.898 0.221 0.943
H: 0.898 0.279 0.443
H: 0.930 0.167 0.172
H: 0.930 0.333 0.672
H: 0.992 0.102 0.467
H: 0.992 0.398 0.967
O: 0.022 0.588 0.328
O: 0.022 0.912 0.828
O: 0.058 0.651 0.979
O: 0.058 0.849 0.479
O: 0.076 0.039 0.367
O: 0.076 0.461 0.867
O: 0.106 0.635 0.592
O: 0.106 0.865 0.092
O: 0.125 0.234 0.275
O: 0.125 0.266 0.775
O: 0.155 0.661 0.803
O: 0.155 0.839 0.303
O: 0.161 0.103 0.998
O: 0.161 0.397 0.498
O: 0.198 0.035 0.201
O: 0.198 0.465 0.701
O: 0.218 0.072 0.719
O: 0.218 0.428 0.219
O: 0.282 0.235 0.137
O: 0.282 0.265 0.637
O: 0.318 0.656 0.677
O: 0.318 0.844 0.177
O: 0.343 0.572 0.071
O: 0.343 0.928 0.571
O: 0.366 0.036 0.075
O: 0.366 0.464 0.575
O: 0.393 0.120 0.393
O: 0.393 0.380 0.893
O: 0.487 0.654 0.885
O: 0.487 0.846 0.385
O: 0.493 0.138 0.904
O: 0.493 0.362 0.404
O: 0.507 0.638 0.596
O: 0.507 0.862 0.096
O: 0.513 0.154 0.615
O: 0.513 0.346 0.115
O: 0.607 0.620 0.107
O: 0.607 0.880 0.607
O: 0.634 0.536 0.425
O: 0.634 0.964 0.925
O: 0.657 0.072 0.429
O: 0.657 0.428 0.929
O: 0.682 0.156 0.823
O: 0.682 0.344 0.323
O: 0.718 0.735 0.363
O: 0.718 0.765 0.863
O: 0.782 0.572 0.781
O: 0.782 0.928 0.281
O: 0.802 0.535 0.299
O: 0.802 0.965 0.799
O: 0.839 0.603 0.502
O: 0.839 0.897 0.002
O: 0.845 0.161 0.697
O: 0.845 0.339 0.197
O: 0.875 0.734 0.225
O: 0.875 0.766 0.725
O: 0.894 0.135 0.908
O: 0.894 0.365 0.408
O: 0.924 0.539 0.133
O: 0.924 0.961 0.633
O: 0.942 0.151 0.521
O: 0.942 0.349 0.021
O: 0.978 0.088 0.172
O: 0.978 0.412 0.672

Summary:
As for the space-group type: No. 14. The value obtained for the formation energy is -2.067 eV/atom.

***

(11)
A relaxed structure of NbSe3, computed with PBE.

Lattice parameters (Å, degrees): 15.481 3.458 20.650 90.00 100.72 90.00
Atoms (fractional coordinates):
Nb: 0.037 0.250 0.263
Nb: 0.116 0.250 0.948
Nb: 0.265 0.750 0.043
Nb: 0.735 0.250 0.957
Nb: 0.884 0.750 0.052
Nb: 0.963 0.750 0.737
Se: 0.075 0.250 0.703
Se: 0.089 0.750 0.848
Se: 0.091 0.750 0.035
Se: 0.091 0.750 0.354
Se: 0.130 0.250 0.180
Se: 0.221 0.750 0.795
Se: 0.262 0.750 0.169
Se: 0.273 0.250 0.943
Se: 0.386 0.250 0.076
Se: 0.614 0.750 0.924
Se: 0.727 0.750 0.057
Se: 0.738 0.250 0.831
Se: 0.779 0.250 0.205
Se: 0.870 0.750 0.820
Se: 0.909 0.250 0.646
Se: 0.909 0.250 0.965
Se: 0.911 0.250 0.152
Se: 0.925 0.750 0.297

Summary:
As for the space-group type: No. 11. The value obtained for the formation energy is -0.673 eV/atom.

***

(12)
A relaxed structure of Mg2AgPt, computed with PBE.

Lattice parameters (Å, degrees): 4.590 4.590 4.590 60.00 60.00 60.00
Atoms (fractional coordinates):
Mg: 0.250 0.250 0.250
Mg: 0.750 0.750 0.750
Ag: 0.000 0.000 0.000
Pt: 0.500 0.500 0.500

Summary:
As for the space-group type: No. 225. The value obtained for the formation energy is -0.576 eV/atom.

***

(13)
A relaxed structure of Pb10SO13F2, computed with PBE.

Lattice parameters (Å, degrees): 9.705 10.584 11.176 109.88 90.69 107.41
Atoms (fractional coordinates):
Pb: 0.036 0.054 0.316
Pb: 0.062 0.196 0.051
Pb: 0.089 0.330 0.673
Pb: 0.155 0.454 0.407
Pb: 0.221 0.604 0.026
Pb: 0.226 0.748 0.743
Pb: 0.316 0.847 0.339
Pb: 0.328 0.997 0.086
Pb: 0.395 0.228 0.813
Pb: 0.419 0.262 0.463
Pb: 0.581 0.738 0.537
Pb: 0.605 0.772 0.187
Pb: 0.672 0.003 0.914
Pb: 0.684 0.153 0.661
Pb: 0.774 0.252 0.257
Pb: 0.779 0.396 0.974
Pb: 0.845 0.546 0.593
Pb: 0.911 0.670 0.327
Pb: 0.938 0.804 0.949
Pb: 0.964 0.946 0.684
S: 0.472 0.425 0.206
S: 0.528 0.575 0.794
O: 0.001 0.238 0.265
O: 0.076 0.508 0.617
O: 0.099 0.011 0.104
O: 0.137 0.672 0.225
O: 0.177 0.764 0.946
O: 0.186 0.258 0.476
O: 0.296 0.033 0.319
O: 0.359 0.317 0.242
O: 0.398 0.805 0.146
O: 0.400 0.501 0.691
O: 0.408 0.532 0.191
O: 0.471 0.144 0.602
O: 0.479 0.648 0.917
O: 0.521 0.352 0.083
O: 0.529 0.856 0.398
O: 0.592 0.468 0.809
O: 0.600 0.499 0.309
O: 0.602 0.195 0.854
O: 0.641 0.683 0.758
O: 0.704 0.967 0.681
O: 0.814 0.742 0.524
O: 0.823 0.236 0.054
O: 0.863 0.328 0.775
O: 0.901 0.989 0.896
O: 0.924 0.492 0.383
O: 0.999 0.762 0.735
F: 0.151 0.836 0.481
F: 0.272 0.020 0.852
F: 0.728 0.980 0.148
F: 0.849 0.164 0.519

Summary:
As for the space-group type: No. 2. The value obtained for the formation energy is -1.682 eV/atom.